# La4Cu5As8

A relaxed structure of La4Cu5As8 (PBE-GGA, the Materials Project database).

Properties
space group	Amm2
crystal system	orthorhombic
E_form	-0.81	eV/atom
final energy	-0.197	hartree per atom

Unit cell a=10.6283 b=10.6283 c=5.8130 alpha=90.00 beta=90.00 gamma=148.27
Closest atoms and distances in Å follow each position.
Sites, in units of the cell vectors:
La 0.6228 0.3772 0.0000  8 As 3.11-3.21, 4 Cu 3.28
La 0.1220 0.8780 0.5000  8 As 3.12-3.22, 4 Cu 3.35
La 0.8786 0.1214 0.5000  8 As 3.11-3.26, 6 Cu 3.14-3.35
La 0.3781 0.6219 0.0000  8 As 3.10-3.25, 6 Cu 3.15-3.34
Cu 0.9942 0.4951 0.2445  4 As 2.52-2.53
Cu 0.5049 0.0058 0.7555  4 As 2.52-2.53
Cu 0.5049 0.0058 0.2445  4 As 2.52-2.53
Cu 0.9942 0.4951 0.7555  4 As 2.52-2.53
Cu 0.4370 0.5630 0.5000  5 As 2.45-2.54
As 0.8250 0.1750 0.0000  4 Cu 2.53
As 0.3173 0.6827 0.5000  5 Cu 2.45-2.52
As 0.6774 0.3226 0.5000  4 Cu 2.53
As 0.1773 0.8227 0.0000  4 Cu 2.53
As 0.7638 0.7605 0.7650  1 Cu 2.54, 2 As 2.73-2.76
As 0.2395 0.2362 0.2350  1 Cu 2.54, 2 As 2.73-2.76
As 0.7638 0.7605 0.2350  1 Cu 2.54, 2 As 2.73-2.76
As 0.2395 0.2362 0.7650  1 Cu 2.54, 2 As 2.73-2.76

# LuNiB4

A relaxed structure of LuNiB4 (PBE-GGA, the Materials Project database).

Properties
space group	Pbam
crystal system	orthorhombic
E_form	-0.57	eV/atom
final energy	-0.248	hartree per atom

Unit cell a=3.3624 b=5.8395 c=11.3321 alpha=90.00 beta=90.00 gamma=90.00
Closest atoms and distances in Å follow each position.
Sites, in units of the cell vectors:
Lu 0.5000 0.6273 0.6502  14 B 2.54-2.69
Lu 0.5000 0.3727 0.3498  14 B 2.54-2.69
Lu 0.5000 0.1273 0.8498  14 B 2.54-2.69
Lu 0.5000 0.8727 0.1502  14 B 2.54-2.69
Ni 0.5000 0.6345 0.9113  10 B 2.19-2.29
Ni 0.5000 0.3655 0.0887  10 B 2.19-2.29
Ni 0.5000 0.1345 0.5887  10 B 2.19-2.29
Ni 0.5000 0.8655 0.4113  10 B 2.19-2.29
B 0.0000 0.8632 0.9673  3 B 1.72-1.79
B 0.0000 0.1368 0.0327  3 B 1.72-1.79
B 0.0000 0.3632 0.5327  3 B 1.72-1.79
B 0.0000 0.6368 0.4673  3 B 1.72-1.79
B 0.0000 0.9785 0.6920  3 B 1.72-1.80
B 0.0000 0.0215 0.3080  3 B 1.72-1.80
B 0.0000 0.4785 0.8080  3 B 1.72-1.80
B 0.0000 0.5215 0.1920  3 B 1.72-1.80
B 0.0000 0.7859 0.8147  3 B 1.79-1.80
B 0.0000 0.2141 0.1853  3 B 1.79-1.80
B 0.0000 0.2859 0.6853  3 B 1.79-1.80
B 0.0000 0.7141 0.3147  3 B 1.79-1.80
B 0.0000 0.8862 0.5477  3 B 1.71-1.72
B 0.0000 0.1138 0.4523  3 B 1.71-1.72
B 0.0000 0.3862 0.9523  3 B 1.71-1.72
B 0.0000 0.6138 0.0477  3 B 1.71-1.72

# NbSe2

A relaxed structure of NbSe2 (PBE-GGA, the Materials Project database).

Properties
space group	C222_1
crystal system	orthorhombic
E_form	-1.15	eV/atom
final energy	-0.240	hartree per atom
MP2020-corrected energy	-6.848	eV per atom

Unit cell a=3.4977 b=3.4977 c=37.7951 alpha=90.00 beta=90.00 gamma=119.96
Closest atoms and distances in Å follow each position.
Sites, in units of the cell vectors:
Nb 0.2403 0.2413 0.4145  6 Se 2.63-2.64
Nb 0.2413 0.2403 0.5855  6 Se 2.63-2.64
Nb 0.7597 0.7587 0.9145  6 Se 2.63-2.64
Nb 0.7587 0.7597 0.0855  6 Se 2.63-2.64
Se 0.4245 0.0929 0.1304  3 Nb 2.64
Se 0.0929 0.4245 0.8696  3 Nb 2.64
Se 0.5744 0.9065 0.5411  3 Nb 2.63
Se 0.0935 0.4256 0.9589  3 Nb 2.63
Se 0.9071 0.5755 0.3696  3 Nb 2.64
Se 0.4256 0.0935 0.0411  3 Nb 2.63
Se 0.5755 0.9071 0.6304  3 Nb 2.64
Se 0.9065 0.5744 0.4589  3 Nb 2.63

# CaTlCl3

A relaxed structure of CaTlCl3 (PBE-GGA, the Materials Project database).

Properties
space group	Cm
crystal system	monoclinic
E_form	-2.19	eV/atom
final energy	-0.140	hartree per atom
MP2020-corrected energy	-4.172	eV per atom

Unit cell a=5.4001 b=5.4001 c=5.3977 alpha=89.99 beta=89.99 gamma=90.02
Closest atoms and distances in Å follow each position.
Sites, in units of the cell vectors:
Ca 0.5054 0.5054 0.4846  6 Cl 2.70
Tl 0.0078 0.0078 0.0027  12 Cl 3.71-3.93
Cl 0.5033 0.0048 0.4817  2 Ca 2.70
Cl 0.4930 0.4930 0.9846  2 Ca 2.70
Cl 0.0048 0.5033 0.4817  2 Ca 2.70

# Rb3Sn

A relaxed structure of Rb3Sn (PBE-GGA, the Materials Project database).

Properties
space group	Fm-3m
crystal system	cubic
E_form	0.01	eV/atom
final energy	-0.063	hartree per atom

Unit cell a=6.5882 b=6.5882 c=6.5882 alpha=60.00 beta=60.00 gamma=60.00
Closest atoms and distances in Å follow each position.
Sites, in units of the cell vectors:
Rb 0.2500 0.2500 0.2500  4 Rb 4.03, 4 Sn 4.03
Rb 0.7500 0.7500 0.7500  4 Rb 4.03, 4 Sn 4.03
Rb 0.5000 0.5000 0.5000  8 Rb 4.03
Sn 0.0000 0.0000 0.0000  8 Rb 4.03